# GeC (GGA-PBE, optimized geometry)
# Formation energy from the elements = 1.2718 eV/atom
# Volume = 10.55 Å³/atom
data_GeC
_cell_length_a 4.387
_cell_length_b 4.387
_cell_length_c 4.387
_cell_angle_alpha 90.00
_cell_angle_beta 90.00
_cell_angle_gamma 90.00
_space_group_name_H-M_alt 'F m -3 m'
_space_group_IT_number 225
_space_group_name_Hall '-F 4 2 3'
loop_
_atom_site_label
_atom_site_type_symbol
_atom_site_fract_x
_atom_site_fract_y
_atom_site_fract_z
Ge1 Ge 0.000 0.000 0.000
C1 C 0.000 0.000 0.500

=====

# GeC (GGA-PBE, optimized geometry)
# Formation energy from the elements = 0.4431 eV/atom
# Volume = 12.15 Å³/atom
data_GeC
_cell_length_a 3.2433
_cell_length_b 3.2433
_cell_length_c 5.3357
_cell_angle_alpha 90.00
_cell_angle_beta 90.00
_cell_angle_gamma 120.00
_space_group_name_H-M_alt 'P 63 m c'
_space_group_IT_number 186
_space_group_name_Hall 'P 6c -2c'
loop_
_atom_site_label
_atom_site_type_symbol
_atom_site_fract_x
_atom_site_fract_y
_atom_site_fract_z
Ge1 Ge 0.3333 0.6667 0.0000
C1 C 0.3333 0.6667 0.6252

=====

# Ge3C (GGA-PBE, optimized geometry)
# Formation energy from the elements = 1.3862 eV/atom
# Volume = 15.98 Å³/atom
data_Ge3C
_cell_length_a 5.7543
_cell_length_b 5.7543
_cell_length_c 4.4573
_cell_angle_alpha 90.00
_cell_angle_beta 90.00
_cell_angle_gamma 120.00
_space_group_name_H-M_alt 'P 63/m m c'
_space_group_IT_number 194
_space_group_name_Hall '-P 6c 2c'
loop_
_atom_site_label
_atom_site_type_symbol
_atom_site_fract_x
_atom_site_fract_y
_atom_site_fract_z
Ge1 Ge 0.1758 0.3516 0.2500
C1 C 0.3333 0.6667 0.7500

=====

# GeC (GGA-PBE, optimized geometry)
# Formation energy from the elements = 0.4384 eV/atom
# Volume = 12.20 Å³/atom
data_GeC
_cell_length_a 4.604
_cell_length_b 4.604
_cell_length_c 4.604
_cell_angle_alpha 90.00
_cell_angle_beta 90.00
_cell_angle_gamma 90.00
_space_group_name_H-M_alt 'F -4 3 m'
_space_group_IT_number 216
_space_group_name_Hall 'F -4 2 3'
loop_
_atom_site_label
_atom_site_type_symbol
_atom_site_fract_x
_atom_site_fract_y
_atom_site_fract_z
Ge1 Ge 0.000 0.000 0.000
C1 C 0.250 0.250 0.750

=====

# InGe2PH24C8 (GGA-PBE, optimized geometry)
# Formation energy from the elements = -0.1296 eV/atom
# Volume = 12.72 Å³/atom
data_InGe2PH24C8
_cell_length_a 9.813
_cell_length_b 10.297
_cell_length_c 10.358
_cell_angle_alpha 77.22
_cell_angle_beta 80.45
_cell_angle_gamma 64.15
_space_group_name_H-M_alt 'P -1'
_space_group_IT_number 2
_space_group_name_Hall '-P 1'
loop_
_atom_site_label
_atom_site_type_symbol
_atom_site_fract_x
_atom_site_fract_y
_atom_site_fract_z
In1 In 0.036 0.143 0.070
Ge1 Ge 0.173 0.131 0.665
Ge2 Ge 0.249 0.692 0.236
P1 P 0.017 0.884 0.167
H1 H 0.016 0.264 0.462
H2 H 0.090 0.070 0.470
H3 H 0.127 0.398 0.659
H4 H 0.127 0.672 0.747
H5 H 0.139 0.566 0.909
H6 H 0.155 0.494 0.349
H7 H 0.211 0.163 0.414
H8 H 0.212 0.481 0.177
H9 H 0.230 0.712 0.484
H10 H 0.257 0.663 0.854
H11 H 0.264 0.277 0.774
H12 H 0.281 0.218 0.015
H13 H 0.293 0.111 0.176
H14 H 0.317 0.292 0.600
H15 H 0.322 0.820 0.383
H16 H 0.332 0.855 0.680
H17 H 0.352 0.414 0.294
H18 H 0.354 0.024 0.033
H19 H 0.380 0.677 0.003
H20 H 0.394 0.927 0.790
H21 H 0.417 0.798 0.079
H22 H 0.422 0.626 0.419
H23 H 0.445 0.955 0.616
H24 H 0.484 0.396 0.875
C1 C 0.115 0.160 0.485
C2 C 0.145 0.668 0.850
C3 C 0.225 0.292 0.676
C4 C 0.240 0.500 0.267
C5 C 0.269 0.120 0.074
C6 C 0.311 0.716 0.398
C7 C 0.355 0.947 0.691
C8 C 0.407 0.693 0.095

=====

# Ge8H12C2N2O17 (GGA-PBE, optimized geometry)
# Formation energy from the elements = -1.3468 eV/atom
# Volume = 12.49 Å³/atom
data_Ge8H12C2N2O17
_cell_length_a 7.737
_cell_length_b 19.576
_cell_length_c 7.776
_cell_angle_alpha 90.00
_cell_angle_beta 119.58
_cell_angle_gamma 90.00
_space_group_name_H-M_alt 'P 1 21 1'
_space_group_IT_number 4
_space_group_name_Hall 'P 2yb'
loop_
_atom_site_label
_atom_site_type_symbol
_atom_site_fract_x
_atom_site_fract_y
_atom_site_fract_z
Ge1 Ge 0.007 0.170 0.463
Ge2 Ge 0.008 0.000 0.459
Ge3 Ge 0.134 0.413 0.936
Ge4 Ge 0.178 0.252 0.890
Ge5 Ge 0.223 0.401 0.371
Ge6 Ge 0.273 0.244 0.321
Ge7 Ge 0.394 0.763 0.765
Ge8 Ge 0.418 0.925 0.736
H1 H 0.163 0.695 0.091
H2 H 0.222 0.581 0.048
H3 H 0.239 0.085 0.140
H4 H 0.245 0.586 0.288
H5 H 0.351 0.698 0.329
H6 H 0.351 0.970 0.252
H7 H 0.388 0.085 0.026
H8 H 0.400 0.696 0.139
H9 H 0.435 0.343 0.322
H10 H 0.463 0.585 0.264
H11 H 0.493 0.971 0.151
H12 H 0.497 0.584 0.711
C1 C 0.309 0.602 0.197
C2 C 0.376 0.064 0.151
N1 N 0.306 0.678 0.188
N2 N 0.364 0.990 0.137
O1 O 0.016 0.974 0.245
O2 O 0.034 0.197 0.692
O3 O 0.061 0.422 0.119
O4 O 0.073 0.585 0.559
O5 O 0.077 0.335 0.801
O6 O 0.107 0.220 0.064
O7 O 0.176 0.451 0.529
O8 O 0.185 0.715 0.737
O9 O 0.217 0.314 0.440
O10 O 0.228 0.176 0.451
O11 O 0.252 0.994 0.663
O12 O 0.284 0.848 0.714
O13 O 0.352 0.319 0.194
O14 O 0.382 0.445 0.026
O15 O 0.438 0.240 0.976
O16 O 0.464 0.722 0.594
O17 O 0.480 0.421 0.433